Record 1
A relaxed MgSc4Si4O14 crystal. Source: the Materials Project, functional PBE.

a b c (Å): 6.6314 6.6314 17.2492
angles (deg): 90.00 90.00 120.00
Space group R3m (No. 160, hexagonal axes)
Unique sites:
Mg  0.0000  0.0000  0.0000 (multiplicity 3)
Sc  0.0000  0.0000  0.2353 (multiplicity 3)
Sc  0.1883  0.3766  0.0885 (multiplicity 9)
Si  0.0000  0.0000  0.7328 (multiplicity 3)
Si  0.0055  0.5028  0.2350 (multiplicity 9)
O  0.0000  0.0000  0.1137 (multiplicity 3)
O  0.0000  0.0000  0.3509 (multiplicity 3)
O  0.0604  0.5302  0.3438 (multiplicity 9)
O  0.0751  0.5376  0.5878 (multiplicity 9)
O  0.1997  0.3994  0.4624 (multiplicity 9)
O  0.2011  0.4023  0.2172 (multiplicity 9)

Values from the calculation:
As for the energy above the lowest structure with this stoichiometry: 0.000 eV/atom. For the spin magnetization, the calculation gives 0.00 μB per atom. The calculation puts the energy at -7.89 eV/atom.


Record 2
A relaxed Ti2Fe crystal. Source: the Materials Project, functional PBE.

a b c (Å): 11.2205 11.2205 11.2205
angles (deg): 90.00 90.00 90.00
Space group Fd-3m (No. 227, origin choice 2)
Unique sites:
Ti  0.0000  0.0000  0.0000 (multiplicity 16)
Ti  0.0647  0.3750  0.8750 (multiplicity 48)
Fe  0.0370  0.0370  0.2130 (multiplicity 32)

Values from the calculation:
For the spin magnetization, the calculation gives 0.00 μB per atom. The calculation puts the energy at -8.30 eV/atom.


Record 3
A relaxed SrCd2Ga2 crystal. Source: the Materials Project, functional PBE.

a b c (Å): 4.6036 4.6036 11.4963
angles (deg): 90.00 90.00 90.00
Space group I4/mmm (No. 139)
Unique sites:
Sr  0.0000  0.0000  0.0000 (multiplicity 2)
Cd  0.0000  0.5000  0.2500 (multiplicity 4)
Ga  0.0000  0.0000  0.3906 (multiplicity 4)

Values from the calculation:
The calculation puts the energy at -2.27 eV/atom.


Record 4
A relaxed Gd2ZnAg crystal. Source: the Materials Project, functional PBE.

a b c (Å): 7.3116 7.3116 7.3116
angles (deg): 90.00 90.00 90.00
Space group Fm-3m (No. 225)
Unique sites:
Gd  0.2500  0.2500  0.2500 (multiplicity 8)
Zn  0.0000  0.0000  0.0000 (multiplicity 4)
Ag  0.0000  0.0000  0.5000 (multiplicity 4)

Values from the calculation:
For the spin magnetization, the calculation gives 3.64 μB per atom. The calculation puts the energy at -8.38 eV/atom.